A relaxed Nb5GaSn2 crystal. Source: the Materials Project, functional r²SCAN.

abc: 10.6945 10.6945 5.1817
angles: 90.00 90.00 90.00
Space group I4/mcm (No. 140)
Asymmetric unit:
Nb (0.0000, 0.5000, 0.2500)
Nb (0.0711, 0.2171, 0.0000)
Ga (0.0000, 0.0000, 0.2500)
Sn (0.1684, 0.3316, 0.5000)

Calculated values
**Electronic total energy**: -0.859 Ha/atom
**ΔH_f (0 K)**: -0.309 eV/atom
**Calculated density**: 8.6 g cm⁻³